(1)
# PBE Mg2CdHg, optimized geometry
# mass density = 7.06 Mg/m³
# uncorrected energy = -1.26 eV per atom
# total moment = 0.0 μB/cell
# formation energy = -3.4 kcal/mol of atoms
data_Mg2CdHg
_symmetry_space_group_name_H-M 'F m -3 m'
_symmetry_Int_Tables_number 225
_symmetry_space_group_name_Hall '-F 4 2 3'
_cell_length_a 6.981
_cell_length_b 6.981
_cell_length_c 6.981
_cell_angle_alpha 90.00
_cell_angle_beta 90.00
_cell_angle_gamma 90.00
loop_
_atom_site_label
_atom_site_fract_x
_atom_site_fract_y
_atom_site_fract_z
Mg1 0.250 0.250 0.250
Cd1 0.000 0.000 0.000
Hg1 0.000 0.000 0.500


(2)
# PBE MnCdHgTe3, optimized geometry
# mass density = 5.98 Mg/m³
# uncorrected energy = -3.54 eV per atom
# total moment = 10.0 μB/cell
# total energy after the MP2020 corrections = -3.752 eV/atom
# formation energy = -10.3 kcal/mol of atoms
data_MnCdHgTe3
_symmetry_space_group_name_H-M 'C 1 m 1'
_symmetry_Int_Tables_number 8
_symmetry_space_group_name_Hall 'C -2y'
_cell_length_a 15.280
_cell_length_b 4.632
_cell_length_c 6.507
_cell_angle_alpha 90.00
_cell_angle_beta 115.09
_cell_angle_gamma 90.00
loop_
_atom_site_label
_atom_site_fract_x
_atom_site_fract_y
_atom_site_fract_z
Mn1 0.000 0.000 0.000
Cd1 0.335 0.000 0.339
Hg1 0.166 0.500 0.671
Te1 0.000 0.500 0.774
Te2 0.161 0.000 0.404
Te3 0.340 0.500 0.086


(3)
# PBE Na2CdHg, optimized geometry
# mass density = 5.62 Mg/m³
# uncorrected energy = -1.12 eV per atom
# formation energy = -3.4 kcal/mol of atoms
data_Na2CdHg
_symmetry_space_group_name_H-M 'F m -3 m'
_symmetry_Int_Tables_number 225
_symmetry_space_group_name_Hall '-F 4 2 3'
_cell_length_a 7.513
_cell_length_b 7.513
_cell_length_c 7.513
_cell_angle_alpha 90.00
_cell_angle_beta 90.00
_cell_angle_gamma 90.00
loop_
_atom_site_label
_atom_site_fract_x
_atom_site_fract_y
_atom_site_fract_z
Na1 0.250 0.250 0.250
Cd1 0.000 0.000 0.000
Hg1 0.000 0.000 0.500


(4)
# PBE Nd2CdHg, optimized geometry
# mass density = 8.74 Mg/m³
# uncorrected energy = -3.08 eV per atom
# formation energy = -9.0 kcal/mol of atoms
data_Nd2CdHg
_symmetry_space_group_name_H-M 'F m -3 m'
_symmetry_Int_Tables_number 225
_symmetry_space_group_name_Hall '-F 4 2 3'
_cell_length_a 7.704
_cell_length_b 7.704
_cell_length_c 7.704
_cell_angle_alpha 90.00
_cell_angle_beta 90.00
_cell_angle_gamma 90.00
loop_
_atom_site_label
_atom_site_fract_x
_atom_site_fract_y
_atom_site_fract_z
Nd1 0.250 0.250 0.250
Cd1 0.000 0.000 0.000
Hg1 0.000 0.000 0.500


(5)
# PBE NdCdHg2, optimized geometry
# mass density = 10.92 Mg/m³
# uncorrected energy = -1.99 eV per atom
# formation energy = -9.5 kcal/mol of atoms
data_NdCdHg2
_symmetry_space_group_name_H-M 'F m -3 m'
_symmetry_Int_Tables_number 225
_symmetry_space_group_name_Hall '-F 4 2 3'
_cell_length_a 7.368
_cell_length_b 7.368
_cell_length_c 7.368
_cell_angle_alpha 90.00
_cell_angle_beta 90.00
_cell_angle_gamma 90.00
loop_
_atom_site_label
_atom_site_fract_x
_atom_site_fract_y
_atom_site_fract_z
Nd1 0.000 0.000 0.000
Cd1 0.000 0.000 0.500
Hg1 0.250 0.250 0.250


(6)
# PBE CdHg2SeO6, optimized geometry
# mass density = 6.98 Mg/m³
# uncorrected energy = -4.12 eV per atom
# total moment = 0.0 μB/cell
# total energy after the MP2020 corrections = -4.530 eV/atom
# formation energy = -24.4 kcal/mol of atoms
data_CdHg2SeO6
_symmetry_space_group_name_H-M 'P -1'
_symmetry_Int_Tables_number 2
_symmetry_space_group_name_Hall '-P 1'
_cell_length_a 6.936
_cell_length_b 7.352
_cell_length_c 8.054
_cell_angle_alpha 95.56
_cell_angle_beta 112.79
_cell_angle_gamma 114.64
loop_
_atom_site_label
_atom_site_fract_x
_atom_site_fract_y
_atom_site_fract_z
Cd1 0.051 0.403 0.216
Hg1 0.008 0.894 0.211
Hg2 0.485 0.096 0.797
Se1 0.405 0.569 0.698
O1 0.132 0.921 0.740
O2 0.153 0.724 0.132
O3 0.275 0.650 0.520
O4 0.293 0.266 0.182
O5 0.302 0.581 0.855
O6 0.352 0.329 0.615